1.
{"formula": "BaRuO3", "functional": "r²SCAN", "state": "optimized geometry", "lattice_angstrom": [[-5.6417, -1.2116, 0.3603], [3.3454, -2.8907, -3.7254], [1.8485, -6.5927, 6.7755]], "species": ["Ba", "Ba", "Ba", "Ba", "Ru", "Ru", "Ru", "Ru", "O", "O", "O", "O", "O", "O", "O", "O", "O", "O", "O", "O"], "fractional_positions": [[0.6667, 0.3333, 0.7500], [0.3333, 0.6667, 0.2500], [0.0000, 0.0000, 0.5000], [0.0000, 0.0000, 0.9999], [0.6667, 0.3333, 0.3873], [0.3333, 0.6667, 0.8873], [0.3333, 0.6667, 0.6127], [0.6667, 0.3333, 0.1127], [0.6362, 0.8181, 0.7500], [0.8181, 0.6362, 0.2500], [0.8181, 0.1819, 0.2500], [0.1819, 0.8181, 0.7500], [0.1819, 0.3638, 0.7500], [0.3638, 0.1819, 0.2500], [0.5000, 0.5000, 0.5000], [0.0000, 0.5000, 0.0000], [0.5000, 0.5000, 0.0000], [0.0000, 0.5000, 0.5000], [0.5000, 0.0000, 0.5000], [0.5000, 0.0000, 0.0000]], "delta_e_f_ev_per_atom": -2.022, "spacegroup": "P6_3/mmc, No. 194"}

2.
{"formula": "Ba2RuO4", "functional": "r²SCAN", "state": "optimized geometry", "lattice_angstrom": [[4.0143, 0.0000, 0.0000], [0.0000, 4.0143, 0.0000], [-2.0072, -2.0072, 6.7331]], "species": ["Ba", "Ba", "Ru", "O", "O", "O", "O"], "fractional_positions": [[0.3549, 0.3549, 0.7097], [0.6451, 0.6451, 0.2903], [0.0000, 0.0000, 0.0000], [0.1528, 0.1528, 0.3055], [0.8472, 0.8472, 0.6945], [0.0000, 0.5000, 0.0000], [0.5000, 0.0000, 0.0000]], "delta_e_f_ev_per_atom": -2.254, "spacegroup": "I4/mmm, No. 139"}

3.
{"formula": "Ba5Ru2O10", "functional": "r²SCAN", "state": "optimized geometry", "lattice_angstrom": [[2.9983, -5.1932, 0.0000], [2.9983, 5.1932, 0.0000], [0.0000, 0.0000, 18.0040]], "species": ["Ba", "Ba", "Ba", "Ba", "Ba", "Ba", "Ba", "Ba", "Ba", "Ba", "Ru", "Ru", "Ru", "Ru", "O", "O", "O", "O", "O", "O", "O", "O", "O", "O", "O", "O", "O", "O", "O", "O", "O", "O", "O", "O"], "fractional_positions": [[0.3333, 0.6667, 0.4848], [0.6667, 0.3333, 0.9848], [0.6667, 0.3333, 0.5152], [0.3333, 0.6667, 0.0152], [0.6667, 0.3333, 0.7500], [0.3333, 0.6667, 0.2500], [0.0000, 0.0000, 0.3630], [0.0000, 0.0000, 0.8630], [0.0000, 0.0000, 0.6370], [0.0000, 0.0000, 0.1370], [0.3333, 0.6667, 0.8269], [0.6667, 0.3333, 0.3269], [0.6667, 0.3333, 0.1731], [0.3333, 0.6667, 0.6731], [0.0000, 0.0000, 0.5000], [0.0000, 0.0000, 0.0000], [0.4878, 0.5122, 0.8830], [0.4878, 0.9756, 0.8830], [0.0244, 0.5122, 0.8830], [0.9756, 0.4878, 0.3830], [0.5122, 0.0244, 0.1170], [0.5122, 0.4878, 0.3830], [0.5122, 0.0244, 0.3830], [0.4878, 0.5122, 0.6170], [0.0244, 0.5122, 0.6170], [0.9756, 0.4878, 0.1170], [0.5122, 0.4878, 0.1170], [0.4878, 0.9756, 0.6170], [0.1873, 0.3746, 0.7500], [0.8127, 0.1873, 0.2500], [0.3746, 0.1873, 0.2500], [0.6254, 0.8127, 0.7500], [0.1873, 0.8127, 0.7500], [0.8127, 0.6254, 0.2500]], "delta_e_f_ev_per_atom": -2.299, "spacegroup": "P6_3/mmc, No. 194"}

4.
{"formula": "Ba3SrRu2O9", "functional": "r²SCAN", "state": "optimized geometry", "lattice_angstrom": [[-1.5099, -5.7876, -0.2384], [5.4987, 1.7009, -1.6442], [5.1420, -2.1607, 14.1262]], "species": ["Ba", "Ba", "Ba", "Ba", "Ba", "Ba", "Sr", "Sr", "Ru", "Ru", "Ru", "Ru", "O", "O", "O", "O", "O", "O", "O", "O", "O", "O", "O", "O", "O", "O", "O", "O", "O", "O"], "fractional_positions": [[0.3461, 0.6758, 0.8960], [0.3242, 0.6539, 0.6040], [0.6539, 0.3242, 0.1040], [0.6758, 0.3461, 0.3960], [0.9949, 0.0051, 0.7500], [0.0051, 0.9949, 0.2500], [0.0000, 0.0000, 0.5000], [0.0000, 0.0000, 0.0000], [0.6880, 0.3531, 0.8404], [0.6469, 0.3120, 0.6596], [0.3531, 0.6880, 0.3404], [0.3120, 0.6469, 0.1596], [0.8660, 0.6789, 0.8917], [0.3211, 0.1340, 0.6083], [0.1340, 0.3211, 0.1083], [0.6789, 0.8660, 0.3917], [0.8722, 0.2211, 0.9000], [0.7789, 0.1278, 0.6000], [0.1278, 0.7789, 0.1000], [0.2211, 0.8722, 0.4000], [0.4120, 0.2218, 0.9230], [0.7782, 0.5880, 0.5770], [0.5880, 0.7782, 0.0770], [0.2218, 0.4120, 0.4230], [0.4833, 0.5167, 0.2500], [0.5167, 0.4833, 0.7500], [0.4820, 0.9598, 0.2374], [0.0402, 0.5180, 0.2626], [0.5180, 0.0402, 0.7626], [0.9598, 0.4820, 0.7374]], "delta_e_f_ev_per_atom": -2.290, "spacegroup": "C2/c, No. 15"}

5.
{"formula": "BaSO4", "functional": "r²SCAN", "state": "optimized geometry", "lattice_angstrom": [[5.4690, 0.0000, 0.0000], [0.0000, 7.1883, 0.0000], [0.0000, 0.0000, 8.9139]], "species": ["Ba", "Ba", "Ba", "Ba", "S", "S", "S", "S", "O", "O", "O", "O", "O", "O", "O", "O", "O", "O", "O", "O", "O", "O", "O", "O"], "fractional_positions": [[0.2500, 0.8432, 0.6851], [0.7500, 0.1568, 0.3149], [0.7500, 0.3432, 0.8149], [0.2500, 0.6568, 0.1851], [0.2500, 0.3093, 0.5619], [0.7500, 0.6907, 0.4381], [0.7500, 0.8093, 0.9381], [0.2500, 0.1907, 0.0619], [0.5302, 0.8107, 0.4199], [0.0302, 0.1893, 0.5801], [0.4698, 0.3107, 0.0801], [0.9698, 0.6893, 0.9199], [0.4698, 0.1893, 0.5801], [0.9698, 0.8107, 0.4199], [0.5302, 0.6893, 0.9199], [0.0302, 0.3107, 0.0801], [0.2500, 0.3913, 0.4116], [0.7500, 0.6087, 0.5884], [0.7500, 0.8913, 0.0884], [0.2500, 0.1087, 0.9116], [0.2500, 0.0490, 0.1815], [0.7500, 0.9510, 0.8185], [0.7500, 0.5490, 0.3185], [0.2500, 0.4510, 0.6815]], "delta_e_f_ev_per_atom": -2.445, "spacegroup": "Pnma, No. 62"}

6.
{"formula": "Ba3Sb4O", "functional": "r²SCAN", "state": "optimized geometry", "lattice_angstrom": [[-3.5396, -8.4963, -9.2319], [-1.9855, -4.6165, 5.0099], [-12.5584, 1.4820, 3.4511]], "species": ["Ba", "Ba", "Ba", "Ba", "Ba", "Ba", "Ba", "Ba", "Ba", "Ba", "Ba", "Ba", "Sb", "Sb", "Sb", "Sb", "Sb", "Sb", "Sb", "Sb", "Sb", "Sb", "Sb", "Sb", "Sb", "Sb", "Sb", "Sb", "O", "O", "O", "O"], "fractional_positions": [[0.2345, 0.8105, 0.5200], [0.4418, 0.2037, 0.5471], [0.7655, 0.1895, 0.4800], [0.9474, 0.3888, 0.7214], [0.0582, 0.2037, 0.0471], [0.2655, 0.8105, 0.0200], [0.9418, 0.7963, 0.9529], [0.0526, 0.6112, 0.2786], [0.5526, 0.3888, 0.2214], [0.7345, 0.1895, 0.9800], [0.4474, 0.6112, 0.7786], [0.5582, 0.7963, 0.4529], [0.9797, 0.0695, 0.3420], [0.4797, 0.9305, 0.1580], [0.6560, 0.7254, 0.9350], [0.3442, 0.6484, 0.3144], [0.0203, 0.9305, 0.6580], [0.1560, 0.2746, 0.5650], [0.6558, 0.3516, 0.6856], [0.7686, 0.7011, 0.2365], [0.8442, 0.3516, 0.1856], [0.3440, 0.2746, 0.0650], [0.7314, 0.7011, 0.7365], [0.8440, 0.7254, 0.4350], [0.5203, 0.0695, 0.8420], [0.2686, 0.2989, 0.2635], [0.2314, 0.2989, 0.7635], [0.1558, 0.6484, 0.8144], [0.9140, 0.1670, 0.9207], [0.0860, 0.8330, 0.0793], [0.4140, 0.8330, 0.5793], [0.5860, 0.1670, 0.4207]], "delta_e_f_ev_per_atom": -1.326, "spacegroup": "P2_1/c, No. 14"}